# MgV5O12 (PBE+U, optimized geometry)
data_MgV5O12
_space_group_name_H-M_alt 'P 1'
_space_group_IT_number 1
_cell_length_a 5.047
_cell_length_b 5.322
_cell_length_c 7.555
_cell_angle_alpha 95.48
_cell_angle_beta 90.68
_cell_angle_gamma 91.52
loop_
_space_group_symop_operation_xyz
'x,y,z'
loop_
_atom_site_label
_atom_site_fract_x
_atom_site_fract_y
_atom_site_fract_z
_atom_site_occupancy
Mg1 0.000 0.000 0.000 1
V1 0.020 0.592 0.222 1
V2 0.479 0.090 0.676 1
V3 0.495 0.685 0.911 1
V4 0.516 0.117 0.224 1
V5 0.977 0.565 0.683 1
O1 0.160 0.573 0.959 1
O2 0.196 0.251 0.656 1
O3 0.202 0.873 0.258 1
O4 0.320 0.768 0.684 1
O5 0.327 0.370 0.268 1
O6 0.391 0.043 0.981 1
O7 0.607 0.066 0.462 1
O8 0.676 0.380 0.788 1
O9 0.710 0.757 0.126 1
O10 0.787 0.864 0.788 1
O11 0.822 0.259 0.161 1
O12 0.899 0.575 0.464 1
# Space group: No. 1
# Formation enthalpy at 0 K: -2.407 eV/atom
# Relative energy among the computed polymorphs: 0.99 eV/f.u.
# Spin magnetization: 0.167 μB/atom